Record 1
DFT (PBE-GGA) results for a relaxed structure of BNF4.

abc: 7.7846 5.7561 7.8832
angles: 90.00 90.00 90.00
With the nearest neighbours (Å) after each atom.
Element x y z (fractional)
B (0.0357, 0.2500, 0.1696)  4 F 1.35-1.51
B (0.4643, 0.7500, 0.6696)  4 F 1.35-1.51
B (0.5357, 0.2500, 0.3304)  4 F 1.35-1.51
B (0.9643, 0.7500, 0.8304)  4 F 1.35-1.51
N (0.0041, 0.2500, 0.7387)  2 F 1.79
N (0.4959, 0.7500, 0.2387)  2 F 1.79
N (0.5041, 0.2500, 0.7613)  2 F 1.79
N (0.9959, 0.7500, 0.2613)  2 F 1.79
F (0.0263, 0.0546, 0.2963)  1 B 1.51
F (0.0263, 0.4454, 0.2963)  1 B 1.51
F (0.1051, 0.7500, 0.9321)  1 B 1.36
F (0.1902, 0.2500, 0.0903)  1 B 1.35
F (0.3098, 0.7500, 0.5903)  1 B 1.35
F (0.3949, 0.2500, 0.4321)  1 B 1.36
F (0.4737, 0.5546, 0.7963)  1 B 1.51
F (0.4737, 0.9454, 0.7963)  1 B 1.51
F (0.5263, 0.0546, 0.2037)  1 B 1.51
F (0.5263, 0.4454, 0.2037)  1 B 1.51
F (0.6051, 0.7500, 0.5679)  1 B 1.36
F (0.6902, 0.2500, 0.4097)  1 B 1.35
F (0.8098, 0.7500, 0.9097)  1 B 1.35
F (0.8949, 0.2500, 0.0679)  1 B 1.36
F (0.9737, 0.5546, 0.7037)  1 B 1.51
F (0.9737, 0.9454, 0.7037)  1 B 1.51

Values from the calculation:
- Excess energy over the best structure of this formula in the dataset: 0 meV per atom
- Total DFT energy (no corrections): -4.97 eV/atom
- Energy relative to the elements: -9.0 eV/f.u.
- Spin magnetization: 8.0 μB/cell


Record 2
DFT (PBE-GGA) results for a relaxed structure of BS4N4F4.

abc: 6.8109 12.0394 12.2190
angles: 90.00 110.07 90.00
With the nearest neighbours (Å) after each atom.
Element x y z (fractional)
B (0.2455, 0.0552, 0.2621)  4 F 1.42-1.43
B (0.2455, 0.4448, 0.7621)  4 F 1.42-1.43
B (0.7545, 0.5552, 0.2379)  4 F 1.42-1.43
B (0.7545, 0.9448, 0.7379)  4 F 1.42-1.43
S (0.0685, 0.7403, 0.5856)  2 N 1.58
S (0.0685, 0.7597, 0.0856)  2 N 1.58
S (0.2299, 0.1085, 0.5839)  2 N 1.58-1.59
S (0.2299, 0.3915, 0.0839)  2 N 1.58-1.59
S (0.2893, 0.0971, 0.9115)  2 N 1.58
S (0.2893, 0.4029, 0.4115)  2 N 1.58
S (0.4140, 0.7447, 0.4134)  2 N 1.58
S (0.4140, 0.7553, 0.9134)  2 N 1.58
S (0.5860, 0.2447, 0.0866)  2 N 1.58
S (0.5860, 0.2553, 0.5866)  2 N 1.58
S (0.7107, 0.5971, 0.5885)  2 N 1.58
S (0.7107, 0.9029, 0.0885)  2 N 1.58
S (0.7701, 0.6085, 0.9161)  2 N 1.58-1.59
S (0.7701, 0.8915, 0.4161)  2 N 1.58-1.59
S (0.9315, 0.2403, 0.9144)  2 N 1.58
S (0.9315, 0.2597, 0.4144)  2 N 1.58
N (0.0250, 0.1519, 0.4869)  2 S 1.58
N (0.0250, 0.3481, 0.9869)  2 S 1.58
N (0.0815, 0.1367, 0.9306)  2 S 1.58
N (0.0815, 0.3633, 0.4306)  2 S 1.58
N (0.4210, 0.1921, 0.6290)  2 S 1.58-1.59
N (0.4210, 0.3079, 0.1290)  2 S 1.58-1.59
N (0.4989, 0.1557, 0.9870)  2 S 1.58
N (0.4989, 0.3443, 0.4870)  2 S 1.58
N (0.5011, 0.6557, 0.5130)  2 S 1.58
N (0.5011, 0.8443, 0.0130)  2 S 1.58
N (0.5790, 0.6921, 0.8710)  2 S 1.58-1.59
N (0.5790, 0.8079, 0.3710)  2 S 1.58-1.59
N (0.9185, 0.6367, 0.5694)  2 S 1.58
N (0.9185, 0.8633, 0.0694)  2 S 1.58
N (0.9750, 0.6519, 0.0131)  2 S 1.58
N (0.9750, 0.8481, 0.5131)  2 S 1.58
F (0.0791, 0.1257, 0.1963)  1 B 1.42
F (0.0791, 0.3743, 0.6963)  1 B 1.42
F (0.1627, 0.5400, 0.7997)  1 B 1.42
F (0.1627, 0.9600, 0.2997)  1 B 1.42
F (0.3662, 0.0225, 0.1934)  1 B 1.42
F (0.3662, 0.4775, 0.6934)  1 B 1.42
F (0.3756, 0.1143, 0.3623)  1 B 1.43
F (0.3756, 0.3857, 0.8623)  1 B 1.43
F (0.6244, 0.6143, 0.1377)  1 B 1.43
F (0.6244, 0.8857, 0.6377)  1 B 1.43
F (0.6338, 0.5225, 0.3066)  1 B 1.42
F (0.6338, 0.9775, 0.8066)  1 B 1.42
F (0.8373, 0.0400, 0.7003)  1 B 1.42
F (0.8373, 0.4600, 0.2003)  1 B 1.42
F (0.9209, 0.6257, 0.3037)  1 B 1.42
F (0.9209, 0.8743, 0.8037)  1 B 1.42

Values from the calculation:
- Total DFT energy (no corrections): -5.65 eV/atom
- Energy relative to the elements: -11.1 eV/f.u.
- Spin magnetization: 4.0 μB/cell


Record 3
DFT (PBE-GGA) results for a relaxed structure of ZnB2N4F8.

abc: 12.5030 7.3072 12.4416
angles: 90.00 90.00 90.00
With the nearest neighbours (Å) after each atom.
Element x y z (fractional)
Zn (0.2064, 0.2500, 0.0889)  4 N 2.01-2.14
Zn (0.2936, 0.7500, 0.5889)  4 N 2.01-2.14
Zn (0.7064, 0.2500, 0.4111)  4 N 2.01-2.14
Zn (0.7936, 0.7500, 0.9111)  4 N 2.01-2.14
B (0.0301, 0.2500, 0.6824)  3 F 1.32-1.33
B (0.1844, 0.7500, 0.9149)  4 F 1.41-1.45
B (0.3156, 0.2500, 0.4149)  4 F 1.41-1.45
B (0.4699, 0.7500, 0.1824)  3 F 1.32-1.33
B (0.5301, 0.2500, 0.8176)  3 F 1.32-1.33
B (0.6844, 0.7500, 0.5851)  4 F 1.41-1.45
B (0.8156, 0.2500, 0.0851)  4 F 1.41-1.45
B (0.9699, 0.7500, 0.3176)  3 F 1.32-1.33
N (0.0578, 0.2500, 0.0215)  1 Zn 2.04
N (0.2072, 0.7500, 0.4403)  1 F 1.31
N (0.2447, 0.5260, 0.6683)  1 Zn 2.01
N (0.2447, 0.9740, 0.6683)  1 Zn 2.01
N (0.2553, 0.0260, 0.1683)  1 Zn 2.01
N (0.2553, 0.4740, 0.1683)  1 Zn 2.01
N (0.2928, 0.2500, 0.9403)  1 F 1.31
N (0.4422, 0.7500, 0.5215)  1 Zn 2.04
N (0.5578, 0.2500, 0.4785)  1 Zn 2.04
N (0.7072, 0.7500, 0.0597)  1 F 1.31
N (0.7447, 0.5260, 0.8317)  1 Zn 2.01
N (0.7447, 0.9740, 0.8317)  1 Zn 2.01
N (0.7553, 0.0260, 0.3317)  1 Zn 2.01
N (0.7553, 0.4740, 0.3317)  1 Zn 2.01
N (0.7928, 0.2500, 0.5597)  1 F 1.31
N (0.9422, 0.7500, 0.9785)  1 Zn 2.04
F (0.0227, 0.0929, 0.6288)  1 B 1.33
F (0.0227, 0.4071, 0.6288)  1 B 1.33
F (0.0394, 0.2500, 0.7881)  1 B 1.32
F (0.1324, 0.7500, 0.0187)  1 B 1.45
F (0.1520, 0.5910, 0.8587)  1 B 1.42
F (0.1520, 0.9090, 0.8587)  1 B 1.42
F (0.2041, 0.2500, 0.4302)  1 B 1.41
F (0.2174, 0.7500, 0.3358)  1 N 1.31
F (0.2826, 0.2500, 0.8358)  1 N 1.31
F (0.2959, 0.7500, 0.9302)  1 B 1.41
F (0.3480, 0.0910, 0.3587)  1 B 1.42
F (0.3480, 0.4090, 0.3587)  1 B 1.42
F (0.3676, 0.2500, 0.5187)  1 B 1.45
F (0.4606, 0.7500, 0.2881)  1 B 1.32
F (0.4773, 0.5929, 0.1288)  1 B 1.33
F (0.4773, 0.9071, 0.1288)  1 B 1.33
F (0.5227, 0.0929, 0.8712)  1 B 1.33
F (0.5227, 0.4071, 0.8712)  1 B 1.33
F (0.5394, 0.2500, 0.7119)  1 B 1.32
F (0.6324, 0.7500, 0.4813)  1 B 1.45
F (0.6520, 0.5910, 0.6413)  1 B 1.42
F (0.6520, 0.9090, 0.6413)  1 B 1.42
F (0.7041, 0.2500, 0.0698)  1 B 1.41
F (0.7174, 0.7500, 0.1642)  1 N 1.31
F (0.7826, 0.2500, 0.6642)  1 N 1.31
F (0.7959, 0.7500, 0.5698)  1 B 1.41
F (0.8480, 0.0910, 0.1413)  1 B 1.42
F (0.8480, 0.4090, 0.1413)  1 B 1.42
F (0.8676, 0.2500, 0.9813)  1 B 1.45
F (0.9606, 0.7500, 0.2119)  1 B 1.32
F (0.9773, 0.5929, 0.3712)  1 B 1.33
F (0.9773, 0.9071, 0.3712)  1 B 1.33

Values from the calculation:
- Excess energy over the best structure of this formula in the dataset: 36 meV per atom
- Total DFT energy (no corrections): -4.76 eV/atom
- Energy relative to the elements: -11.7 eV/f.u.
- Spin magnetization: 24.0 μB/cell